Record 1
LiMn2P2O8 | PBE with a Hubbard U | optimized geometry

a b c (Å): 10.196 5.150 14.198
angles (deg): 90.00 90.00 90.00
Space group Pca2_1 (No. 29)
One atom of each set of equivalent atoms:
Li (0.222, 0.052, 0.000) (multiplicity 4)
Mn (0.033, 0.559, 0.003) (multiplicity 4)
Mn (0.222, 0.055, 0.251) (multiplicity 4)
P (0.030, 0.933, 0.626) (multiplicity 4)
P (0.214, 0.553, 0.378) (multiplicity 4)
O (0.006, 0.637, 0.619) (multiplicity 4)
O (0.034, 0.964, 0.217) (multiplicity 4)
O (0.035, 0.940, 0.037) (multiplicity 4)
O (0.065, 0.497, 0.387) (multiplicity 4)
O (0.179, 0.995, 0.626) (multiplicity 4)
O (0.218, 0.435, 0.967) (multiplicity 4)
O (0.235, 0.426, 0.787) (multiplicity 4)
O (0.242, 0.850, 0.377) (multiplicity 4)

Computed properties:
**E above lowest polymorph**: 0.068 eV/atom
**DFT formation energy**: -2.47 eV/atom

---

Record 2
LiMnPO4 | PBE with a Hubbard U | optimized geometry

a b c (Å): 8.057 5.498 8.576
angles (deg): 90.00 104.61 90.00
Space group Pc (No. 7)
One atom of each set of equivalent atoms:
Li (0.000, 0.151, 0.000) (multiplicity 2)
Li (0.471, 0.342, 0.286) (multiplicity 2)
Mn (0.102, 0.341, 0.373) (multiplicity 2)
Mn (0.602, 0.165, 0.673) (multiplicity 2)
P (0.227, 0.164, 0.745) (multiplicity 2)
P (0.723, 0.336, 0.054) (multiplicity 2)
O (0.090, 0.161, 0.580) (multiplicity 2)
O (0.151, 0.288, 0.875) (multiplicity 2)
O (0.278, 0.104, 0.296) (multiplicity 2)
O (0.383, 0.315, 0.725) (multiplicity 2)
O (0.595, 0.202, 0.133) (multiplicity 2)
O (0.651, 0.405, 0.505) (multiplicity 2)
O (0.749, 0.198, 0.904) (multiplicity 2)
O (0.905, 0.337, 0.169) (multiplicity 2)

Computed properties:
**E above lowest polymorph**: 0.044 eV/atom
**Piezoelectric modulus e_max**: 0.3 C/m²
**DFT formation energy**: -2.59 eV/atom

---

Record 3
Li3Mn3P4O16 | PBE with a Hubbard U | optimized geometry

a b c (Å): 5.010 6.706 9.903
angles (deg): 78.19 87.37 74.15
Space group P-1 (No. 2)
One atom of each set of equivalent atoms:
Li (0.000, 0.000, 0.000) (multiplicity 1)
Li (0.004, 0.792, 0.528) (multiplicity 2)
Mn (0.011, 0.435, 0.157) (multiplicity 2)
Mn (0.500, 0.500, 0.000) (multiplicity 1)
P (0.418, 0.902, 0.733) (multiplicity 2)
P (0.457, 0.684, 0.274) (multiplicity 2)
O (0.217, 0.364, 0.994) (multiplicity 2)
O (0.243, 0.978, 0.604) (multiplicity 2)
O (0.253, 0.478, 0.702) (multiplicity 2)
O (0.267, 0.797, 0.859) (multiplicity 2)
O (0.284, 0.694, 0.398) (multiplicity 2)
O (0.286, 0.237, 0.291) (multiplicity 2)
O (0.299, 0.651, 0.148) (multiplicity 2)
O (0.478, 0.092, 0.795) (multiplicity 2)

Computed properties:
**E above lowest polymorph**: 0.058 eV/atom
**DFT formation energy**: -2.48 eV/atom

---

Record 4
Li2Mn3P4O16 | PBE with a Hubbard U | optimized geometry

a b c (Å): 7.645 7.705 10.964
angles (deg): 105.77 105.69 101.81
Space group P1 (No. 1)
One atom of each set of equivalent atoms:
Li (0.000, 0.000, 0.000) (multiplicity 1)
Li (0.048, 0.261, 0.784) (multiplicity 1)
Li (0.291, 0.731, 0.527) (multiplicity 1)
Li (0.551, 0.754, 0.785) (multiplicity 1)
Mn (0.010, 0.221, 0.306) (multiplicity 1)
Mn (0.021, 0.733, 0.737) (multiplicity 1)
Mn (0.476, 0.183, 0.235) (multiplicity 1)
Mn (0.516, 0.724, 0.301) (multiplicity 1)
Mn (0.523, 0.228, 0.740) (multiplicity 1)
Mn (0.966, 0.675, 0.230) (multiplicity 1)
P (0.158, 0.368, 0.115) (multiplicity 1)
P (0.230, 0.431, 0.613) (multiplicity 1)
P (0.304, 0.015, 0.420) (multiplicity 1)
P (0.391, 0.100, 0.915) (multiplicity 1)
P (0.655, 0.864, 0.112) (multiplicity 1)
P (0.723, 0.935, 0.609) (multiplicity 1)
P (0.803, 0.513, 0.421) (multiplicity 1)
P (0.889, 0.597, 0.912) (multiplicity 1)
O (0.024, 0.432, 0.193) (multiplicity 1)
O (0.029, 0.548, 0.838) (multiplicity 1)
O (0.052, 0.254, 0.967) (multiplicity 1)
O (0.077, 0.285, 0.621) (multiplicity 1)
O (0.097, 0.007, 0.346) (multiplicity 1)
O (0.203, 0.415, 0.461) (multiplicity 1)
O (0.216, 0.939, 0.896) (multiplicity 1)
O (0.218, 0.222, 0.186) (multiplicity 1)
O (0.234, 0.646, 0.678) (multiplicity 1)
O (0.299, 0.804, 0.354) (multiplicity 1)
O (0.327, 0.535, 0.140) (multiplicity 1)
O (0.339, 0.043, 0.571) (multiplicity 1)
O (0.340, 0.242, 0.842) (multiplicity 1)
O (0.440, 0.431, 0.680) (multiplicity 1)
O (0.453, 0.160, 0.401) (multiplicity 1)
O (0.496, 0.204, 0.068) (multiplicity 1)
O (0.522, 0.931, 0.191) (multiplicity 1)
O (0.530, 0.039, 0.842) (multiplicity 1)
O (0.553, 0.764, 0.963) (multiplicity 1)
O (0.565, 0.786, 0.614) (multiplicity 1)
O (0.597, 0.510, 0.347) (multiplicity 1)
O (0.704, 0.911, 0.459) (multiplicity 1)
O (0.720, 0.730, 0.190) (multiplicity 1)
O (0.724, 0.429, 0.893) (multiplicity 1)
O (0.726, 0.144, 0.681) (multiplicity 1)
O (0.794, 0.306, 0.346) (multiplicity 1)
O (0.831, 0.031, 0.137) (multiplicity 1)
O (0.836, 0.751, 0.852) (multiplicity 1)
O (0.841, 0.549, 0.572) (multiplicity 1)
O (0.930, 0.933, 0.683) (multiplicity 1)
O (0.958, 0.659, 0.403) (multiplicity 1)
O (0.995, 0.702, 0.067) (multiplicity 1)

Computed properties:
**DFT formation energy**: -2.43 eV/atom

---

Record 5
Li2MnPO5 | PBE with a Hubbard U | optimized geometry

a b c (Å): 7.810 7.748 7.114
angles (deg): 90.00 116.77 90.00
Space group C2/c (No. 15)
One atom of each set of equivalent atoms:
Li (0.173, 0.225, 0.254) (multiplicity 8)
Mn (0.000, 0.500, 0.000) (multiplicity 4)
P (0.000, 0.127, 0.750) (multiplicity 4)
O (0.000, 0.409, 0.250) (multiplicity 4)
O (0.020, 0.246, 0.582) (multiplicity 8)
O (0.180, 0.014, 0.850) (multiplicity 8)

Computed properties:
**E above lowest polymorph**: 0.000 eV/atom
**DFT formation energy**: -2.47 eV/atom

---

Record 6
LiMn3P3O12 | PBE with a Hubbard U | optimized geometry

a b c (Å): 8.602 8.645 13.400
angles (deg): 108.25 108.55 90.74
Space group P1 (No. 1)
One atom of each set of equivalent atoms:
Li (0.000, 0.000, 0.000) (multiplicity 1)
Li (0.003, 0.738, 0.738) (multiplicity 1)
Li (0.509, 0.136, 0.623) (multiplicity 1)
Li (0.990, 0.259, 0.258) (multiplicity 1)
Mn (0.114, 0.242, 0.676) (multiplicity 1)
Mn (0.114, 0.741, 0.174) (multiplicity 1)
Mn (0.222, 0.843, 0.617) (multiplicity 1)
Mn (0.235, 0.363, 0.123) (multiplicity 1)
Mn (0.431, 0.309, 0.421) (multiplicity 1)
Mn (0.431, 0.810, 0.923) (multiplicity 1)
Mn (0.563, 0.686, 0.570) (multiplicity 1)
Mn (0.566, 0.189, 0.075) (multiplicity 1)
Mn (0.762, 0.636, 0.875) (multiplicity 1)
Mn (0.765, 0.140, 0.375) (multiplicity 1)
Mn (0.884, 0.257, 0.824) (multiplicity 1)
Mn (0.884, 0.755, 0.321) (multiplicity 1)
P (0.149, 0.568, 0.932) (multiplicity 1)
P (0.154, 0.063, 0.434) (multiplicity 1)
P (0.206, 0.583, 0.371) (multiplicity 1)
P (0.209, 0.085, 0.873) (multiplicity 1)
P (0.363, 0.031, 0.182) (multiplicity 1)
P (0.367, 0.532, 0.685) (multiplicity 1)
P (0.628, 0.965, 0.811) (multiplicity 1)
P (0.633, 0.462, 0.309) (multiplicity 1)
P (0.788, 0.911, 0.123) (multiplicity 1)
P (0.789, 0.412, 0.624) (multiplicity 1)
P (0.844, 0.935, 0.565) (multiplicity 1)
P (0.847, 0.429, 0.064) (multiplicity 1)
O (0.020, 0.681, 0.899) (multiplicity 1)
O (0.028, 0.175, 0.399) (multiplicity 1)
O (0.030, 0.608, 0.376) (multiplicity 1)
O (0.032, 0.107, 0.881) (multiplicity 1)
O (0.089, 0.388, 0.843) (multiplicity 1)
O (0.097, 0.886, 0.343) (multiplicity 1)
O (0.165, 0.550, 0.046) (multiplicity 1)
O (0.173, 0.045, 0.549) (multiplicity 1)
O (0.216, 0.125, 0.149) (multiplicity 1)
O (0.223, 0.400, 0.362) (multiplicity 1)
O (0.223, 0.633, 0.667) (multiplicity 1)
O (0.224, 0.902, 0.866) (multiplicity 1)
O (0.229, 0.099, 0.765) (multiplicity 1)
O (0.233, 0.600, 0.265) (multiplicity 1)
O (0.310, 0.862, 0.185) (multiplicity 1)
O (0.317, 0.357, 0.684) (multiplicity 1)
O (0.320, 0.625, 0.934) (multiplicity 1)
O (0.329, 0.710, 0.480) (multiplicity 1)
O (0.331, 0.213, 0.980) (multiplicity 1)
O (0.333, 0.129, 0.449) (multiplicity 1)
O (0.449, 0.503, 0.591) (multiplicity 1)
O (0.455, 0.002, 0.093) (multiplicity 1)
O (0.493, 0.129, 0.297) (multiplicity 1)
O (0.494, 0.371, 0.196) (multiplicity 1)
O (0.494, 0.870, 0.696) (multiplicity 1)
O (0.504, 0.625, 0.799) (multiplicity 1)
O (0.542, 0.998, 0.902) (multiplicity 1)
O (0.547, 0.492, 0.403) (multiplicity 1)
O (0.664, 0.784, 0.015) (multiplicity 1)
O (0.665, 0.282, 0.517) (multiplicity 1)
O (0.669, 0.884, 0.563) (multiplicity 1)
O (0.675, 0.372, 0.061) (multiplicity 1)
O (0.677, 0.131, 0.797) (multiplicity 1)
O (0.688, 0.632, 0.310) (multiplicity 1)
O (0.756, 0.391, 0.728) (multiplicity 1)
O (0.768, 0.898, 0.231) (multiplicity 1)
O (0.770, 0.595, 0.633) (multiplicity 1)
O (0.771, 0.355, 0.329) (multiplicity 1)
O (0.774, 0.094, 0.129) (multiplicity 1)
O (0.776, 0.874, 0.843) (multiplicity 1)
O (0.828, 0.444, 0.948) (multiplicity 1)
O (0.831, 0.950, 0.451) (multiplicity 1)
O (0.904, 0.114, 0.655) (multiplicity 1)
O (0.907, 0.609, 0.153) (multiplicity 1)
O (0.963, 0.887, 0.114) (multiplicity 1)
O (0.966, 0.390, 0.622) (multiplicity 1)
O (0.967, 0.820, 0.600) (multiplicity 1)
O (0.974, 0.315, 0.096) (multiplicity 1)

Computed properties:
**E above lowest polymorph**: 0.007 eV/atom
**DFT formation energy**: -2.49 eV/atom

---

Record 7
Li2MnP2O8 | PBE with a Hubbard U | optimized geometry

a b c (Å): 4.894 5.138 6.789
angles (deg): 73.04 86.51 66.55
Space group P-1 (No. 2)
One atom of each set of equivalent atoms:
Li (0.214, 0.285, 0.159) (multiplicity 2)
Mn (0.500, 0.500, 0.500) (multiplicity 1)
P (0.134, 0.131, 0.727) (multiplicity 2)
O (0.109, 0.302, 0.881) (multiplicity 2)
O (0.180, 0.851, 0.333) (multiplicity 2)
O (0.251, 0.285, 0.520) (multiplicity 2)
O (0.353, 0.806, 0.791) (multiplicity 2)

Computed properties:
**E above lowest polymorph**: 0.072 eV/atom
**DFT formation energy**: -2.42 eV/atom

---

Record 8
LiMnP2O7 | PBE with a Hubbard U | optimized geometry

a b c (Å): 9.745 9.825 11.168
angles (deg): 77.88 89.74 89.57
Space group P1 (No. 1)
One atom of each set of equivalent atoms:
Li (0.000, 0.000, 0.000) (multiplicity 1)
Li (0.005, 0.442, 0.020) (multiplicity 1)
Li (0.174, 0.190, 0.526) (multiplicity 1)
Li (0.471, 0.238, 0.445) (multiplicity 1)
Li (0.482, 0.674, 0.953) (multiplicity 1)
Li (0.782, 0.180, 0.952) (multiplicity 1)
Li (0.813, 0.746, 0.441) (multiplicity 1)
Li (0.939, 0.457, 0.486) (multiplicity 1)
Mn (0.119, 0.814, 0.815) (multiplicity 1)
Mn (0.179, 0.328, 0.805) (multiplicity 1)
Mn (0.314, 0.775, 0.315) (multiplicity 1)
Mn (0.463, 0.384, 0.653) (multiplicity 1)
Mn (0.604, 0.859, 0.147) (multiplicity 1)
Mn (0.663, 0.370, 0.141) (multiplicity 1)
Mn (0.823, 0.883, 0.651) (multiplicity 1)
Mn (0.964, 0.273, 0.309) (multiplicity 1)
P (0.045, 0.951, 0.407) (multiplicity 1)
P (0.103, 0.706, 0.096) (multiplicity 1)
P (0.182, 0.203, 0.092) (multiplicity 1)
P (0.239, 0.454, 0.402) (multiplicity 1)
P (0.310, 0.658, 0.731) (multiplicity 1)
P (0.338, 0.064, 0.730) (multiplicity 1)
P (0.454, 0.118, 0.217) (multiplicity 1)
P (0.460, 0.520, 0.221) (multiplicity 1)
P (0.532, 0.705, 0.549) (multiplicity 1)
P (0.605, 0.967, 0.860) (multiplicity 1)
P (0.676, 0.473, 0.859) (multiplicity 1)
P (0.748, 0.204, 0.554) (multiplicity 1)
P (0.824, 0.022, 0.220) (multiplicity 1)
P (0.832, 0.615, 0.222) (multiplicity 1)
P (0.944, 0.563, 0.732) (multiplicity 1)
P (0.967, 0.153, 0.737) (multiplicity 1)
O (0.041, 0.473, 0.830) (multiplicity 1)
O (0.055, 0.817, 0.981) (multiplicity 1)
O (0.059, 0.101, 0.422) (multiplicity 1)
O (0.064, 0.276, 0.152) (multiplicity 1)
O (0.080, 0.255, 0.672) (multiplicity 1)
O (0.097, 0.387, 0.389) (multiplicity 1)
O (0.126, 0.568, 0.065) (multiplicity 1)
O (0.150, 0.062, 0.071) (multiplicity 1)
O (0.183, 0.888, 0.387) (multiplicity 1)
O (0.192, 0.757, 0.671) (multiplicity 1)
O (0.216, 0.766, 0.164) (multiplicity 1)
O (0.224, 0.600, 0.420) (multiplicity 1)
O (0.227, 0.312, 0.976) (multiplicity 1)
O (0.235, 0.983, 0.821) (multiplicity 1)
O (0.299, 0.509, 0.710) (multiplicity 1)
O (0.305, 0.191, 0.188) (multiplicity 1)
O (0.308, 0.675, 0.864) (multiplicity 1)
O (0.315, 0.072, 0.597) (multiplicity 1)
O (0.315, 0.455, 0.272) (multiplicity 1)
O (0.325, 0.356, 0.500) (multiplicity 1)
O (0.348, 0.219, 0.760) (multiplicity 1)
O (0.448, 0.972, 0.180) (multiplicity 1)
O (0.451, 0.721, 0.671) (multiplicity 1)
O (0.454, 0.789, 0.439) (multiplicity 1)
O (0.466, 0.668, 0.249) (multiplicity 1)
O (0.476, 0.516, 0.088) (multiplicity 1)
O (0.477, 0.110, 0.349) (multiplicity 1)
O (0.483, 0.989, 0.760) (multiplicity 1)
O (0.534, 0.547, 0.548) (multiplicity 1)
O (0.550, 0.859, 0.974) (multiplicity 1)
O (0.555, 0.208, 0.127) (multiplicity 1)
O (0.565, 0.396, 0.802) (multiplicity 1)
O (0.572, 0.416, 0.287) (multiplicity 1)
O (0.605, 0.263, 0.564) (multiplicity 1)
O (0.637, 0.104, 0.889) (multiplicity 1)
O (0.641, 0.611, 0.887) (multiplicity 1)
O (0.675, 0.759, 0.562) (multiplicity 1)
O (0.710, 0.919, 0.279) (multiplicity 1)
O (0.719, 0.895, 0.797) (multiplicity 1)
O (0.724, 0.704, 0.140) (multiplicity 1)
O (0.739, 0.370, 0.975) (multiplicity 1)
O (0.744, 0.050, 0.548) (multiplicity 1)
O (0.798, 0.490, 0.760) (multiplicity 1)
O (0.811, 0.170, 0.252) (multiplicity 1)
O (0.818, 0.597, 0.358) (multiplicity 1)
O (0.823, 0.218, 0.679) (multiplicity 1)
O (0.829, 0.027, 0.085) (multiplicity 1)
O (0.837, 0.292, 0.451) (multiplicity 1)
O (0.838, 0.472, 0.179) (multiplicity 1)
O (0.935, 0.713, 0.763) (multiplicity 1)
O (0.949, 0.864, 0.505) (multiplicity 1)
O (0.962, 0.162, 0.870) (multiplicity 1)
O (0.965, 0.957, 0.278) (multiplicity 1)
O (0.974, 0.563, 0.602) (multiplicity 1)
O (0.974, 0.695, 0.190) (multiplicity 1)
O (0.982, 0.007, 0.710) (multiplicity 1)

Computed properties:
**E above lowest polymorph**: 0.061 eV/atom
**DFT formation energy**: -2.50 eV/atom

---

The highest DFT formation energy belongs to which entry? Li2MnP2O8

---

The highest DFT formation energy belongs to which entry? Li2MnP2O8

---

Which value of DFT formation energy does entry 8 give? -2.50 eV/atom

---

Which formula does entry 4 have? Li2Mn3P4O16